Compound: PaSnRu2
Source: the Materials Project
Functional: PBE-GGA
Structure: optimized geometry

```
PaSnRu2
1.0
0.000 3.359 3.359
3.359 0.000 3.359
3.359 3.359 0.000
Pa Sn Ru
1 1 2
direct
0.000 0.000 0.000 Pa
0.500 0.500 0.500 Sn
0.250 0.250 0.250 Ru
0.750 0.750 0.750 Ru
```

Summary:
For the energy, the calculation gives -8.382 eV per atom. The calculation puts the density at 12.1 g/cm³. The calculated formation energy comes out at -0.36 eV per atom.

Compound: CsMnN
Source: the Materials Project
Functional: PBE-GGA
Structure: optimized geometry

```
CsMnN
1.0
11.355 0.000 0.000
0.000 3.633 0.000
0.000 0.000 7.045
Cs Mn N
4 4 4
direct
0.167 0.250 0.067 Cs
0.333 0.750 0.567 Cs
0.667 0.250 0.433 Cs
0.833 0.750 0.933 Cs
0.036 0.250 0.591 Mn
0.464 0.750 0.091 Mn
0.536 0.250 0.909 Mn
0.964 0.750 0.409 Mn
0.053 0.750 0.636 N
0.447 0.250 0.136 N
0.553 0.750 0.864 N
0.947 0.250 0.364 N
```

Summary:
As for the total magnetization: 6.1 Bohr magnetons per cell. For the energy, the calculation gives -6.152 eV per atom. The calculation puts the density at 4.6 g/cm³. The calculated formation energy comes out at -0.14 eV per atom.